Ca2Al3O8: relaxed, GGA-PBE.

## Properties
energy relative to the elements = -2.96 eV per atom
polymorph energy (0 for the lowest one) = 0.0 meV/atom
energy with MP2020 corrections = -7.18 eV/atom
spin magnetization = 3.00 μB per formula unit

a = 7.8391 Å, b = 7.8391 Å, c = 7.8391 Å
α = 109.47°, β = 109.47°, γ = 109.47°
With the nearest neighbours (Å) after each atom.
Fractional coordinates of all 26 atoms:
Ca: 0.0000 0.0000 0.6564  3 O 2.29
Ca: 0.0000 0.6564 0.0000  3 O 2.29
Ca: 0.3436 0.3436 0.3436  3 O 2.29
Ca: 0.6564 0.0000 0.0000  3 O 2.29
Al: 0.2500 0.5000 0.7500  4 O 1.77
Al: 0.2500 0.7500 0.5000  4 O 1.77
Al: 0.5000 0.2500 0.7500  4 O 1.77
Al: 0.5000 0.7500 0.2500  4 O 1.77
Al: 0.7500 0.2500 0.5000  4 O 1.77
Al: 0.7500 0.5000 0.2500  4 O 1.77
O: 0.0000 0.0000 0.1676  3 O 2.15
O: 0.0000 0.1676 0.0000  3 O 2.15
O: 0.0000 0.4347 0.7229  2 Al 1.77
O: 0.0000 0.7229 0.4347  2 Al 1.77
O: 0.1676 0.0000 0.0000  3 O 2.15
O: 0.2771 0.2771 0.7119  2 Al 1.77
O: 0.2771 0.7119 0.2771  2 Al 1.77
O: 0.2881 0.5653 0.5653  2 Al 1.77
O: 0.4347 0.0000 0.7229  2 Al 1.77
O: 0.4347 0.7229 0.0000  2 Al 1.77
O: 0.5653 0.2881 0.5653  2 Al 1.77
O: 0.5653 0.5653 0.2881  2 Al 1.77
O: 0.7119 0.2771 0.2771  2 Al 1.77
O: 0.7229 0.0000 0.4347  2 Al 1.77
O: 0.7229 0.4347 0.0000  2 Al 1.77
O: 0.8324 0.8324 0.8324  3 O 2.15



Ca2CuCN2O2: relaxed, GGA-PBE.

## Properties
energy relative to the elements = -1.39 eV per atom
energy with MP2020 corrections = -6.87 eV/atom
spin magnetization = 0.01 μB per formula unit

a = 3.7541 Å, b = 3.7541 Å, c = 7.8816 Å
α = 90.00°, β = 90.00°, γ = 90.00°
With the nearest neighbours (Å) after each atom.
Fractional coordinates of all 8 atoms:
Ca: 0.0000 0.0000 0.2017  4 O 2.46
Ca: 0.0000 0.0000 0.7983  4 O 2.46
Cu: 0.5000 0.5000 0.0000  4 O 1.88
C: 0.5000 0.5000 0.5000  2 N 1.25
N: 0.5000 0.5000 0.3419  1 C 1.25
N: 0.5000 0.5000 0.6581  1 C 1.25
O: 0.0000 0.5000 0.0000  2 Cu 1.88
O: 0.5000 0.0000 0.0000  2 Cu 1.88



Cs2YTlF6: relaxed, GGA-PBE.

## Properties
energy relative to the elements = -3.36 eV per atom
energy with MP2020 corrections = -5.57 eV/atom

a = 6.9420 Å, b = 6.9420 Å, c = 6.9420 Å
α = 60.00°, β = 60.00°, γ = 60.00°
With the nearest neighbours (Å) after each atom.
Fractional coordinates of all 10 atoms:
Cs: 0.2500 0.2500 0.2500  12 F 3.48
Cs: 0.7500 0.7500 0.7500  12 F 3.48
Y: 0.0000 0.0000 0.0000  6 F 2.19
Tl: 0.5000 0.5000 0.5000  6 F 2.71
F: 0.2235 0.2235 0.7765  1 Y 2.19
F: 0.2235 0.7765 0.2235  1 Y 2.19
F: 0.2235 0.7765 0.7765  1 Y 2.19
F: 0.7765 0.2235 0.2235  1 Y 2.19
F: 0.7765 0.2235 0.7765  1 Y 2.19
F: 0.7765 0.7765 0.2235  1 Y 2.19



BaTbO3: relaxed, GGA-PBE.

## Properties
energy relative to the elements = -3.11 eV per atom
energy with MP2020 corrections = -7.39 eV/atom
spin magnetization = 1.00 μB per formula unit

a = 6.1783 Å, b = 6.2281 Å, c = 6.2730 Å
α = 60.57°, β = 63.05°, γ = 60.96°
With the nearest neighbours (Å) after each atom.
Fractional coordinates of all 10 atoms:
Ba: 0.0000 0.0000 0.0000  6 O 2.68-2.94
Ba: 0.4767 0.5210 0.4851  6 O 2.68-2.93
Tb: 0.2382 0.2609 0.2428  6 O 2.27-2.31
Tb: 0.7386 0.7609 0.7426  6 O 2.25-2.33
O: 0.0029 0.5624 0.4432  2 Tb 2.29
O: 0.0644 0.5716 0.9179  2 Tb 2.25-2.27
O: 0.4119 0.9515 0.5681  2 Tb 2.25-2.27
O: 0.4748 0.9612 0.0409  2 Tb 2.29-2.30
O: 0.5757 0.4220 0.0369  2 Tb 2.31-2.33
O: 0.9010 0.1002 0.4499  2 Tb 2.31-2.33



HCl: relaxed, GGA-PBE.

## Properties
energy relative to the elements = -0.49 eV per atom
energy with MP2020 corrections = -3.11 eV/atom
spin magnetization = 0.00 μB per formula unit

a = 4.2007 Å, b = 4.2007 Å, c = 4.2007 Å
α = 97.66°, β = 97.66°, γ = 137.18°
With the nearest neighbours (Å) after each atom.
Fractional coordinates of all 2 atoms:
H: 0.0000 0.0000 0.0000  2 Cl 1.53
Cl: 0.5000 0.5000 0.0000  2 H 1.53



Tb8Ni18P11: relaxed, GGA-PBE.

## Properties
energy relative to the elements = -0.98 eV per atom
spin magnetization = 0.60 μB per formula unit

a = 18.0301 Å, b = 18.0301 Å, c = 3.8222 Å
α = 90.00°, β = 90.00°, γ = 120.00°
With the nearest neighbours (Å) after each atom.
Fractional coordinates of all 74 atoms:
Tb: 0.0000 0.0000 0.0000  6 P 2.94, 6 Ni 2.97
Tb: 0.0014 0.2170 0.0000  6 P 2.91-2.97, 8 Ni 2.94-3.07
Tb: 0.0014 0.7844 0.0000  6 P 2.91-2.97, 8 Ni 2.94-3.07
Tb: 0.0475 0.5238 0.5000  6 P 2.89-2.95, 10 Ni 2.92-3.07
Tb: 0.2156 0.2170 0.0000  6 P 2.91-2.97, 8 Ni 2.94-3.07
Tb: 0.2156 0.9986 0.0000  6 P 2.91-2.97, 8 Ni 2.94-3.07
Tb: 0.2606 0.5212 0.5000  6 P 2.91-2.97, 8 Ni 2.96-3.07
Tb: 0.2606 0.7394 0.5000  6 P 2.91-2.97, 8 Ni 2.96-3.07
Tb: 0.4405 0.2203 0.0000  12 Ni 2.88-3.16, 4 P 3.02
Tb: 0.4762 0.5238 0.5000  6 P 2.89-2.95, 10 Ni 2.92-3.07
Tb: 0.4762 0.9525 0.5000  6 P 2.89-2.95, 10 Ni 2.92-3.07
Tb: 0.4788 0.7394 0.5000  6 P 2.91-2.97, 8 Ni 2.96-3.07
Tb: 0.7797 0.2203 0.0000  12 Ni 2.88-3.16, 4 P 3.02
Tb: 0.7797 0.5595 0.0000  12 Ni 2.88-3.16, 4 P 3.02
Tb: 0.7830 0.7844 0.0000  6 P 2.91-2.97, 8 Ni 2.94-3.07
Tb: 0.7830 0.9986 0.0000  6 P 2.91-2.97, 8 Ni 2.94-3.07
Ni: 0.0726 0.1452 0.5000  3 P 2.23-2.25
Ni: 0.0726 0.9274 0.5000  3 P 2.23-2.25
Ni: 0.0760 0.3695 0.5000  4 P 2.31-2.34
Ni: 0.0760 0.7066 0.5000  4 P 2.31-2.34
Ni: 0.1847 0.3693 0.0000  4 P 2.29-2.31
Ni: 0.1847 0.8153 0.0000  4 P 2.29-2.31
Ni: 0.1891 0.5946 0.0000  3 P 2.22-2.25
Ni: 0.2883 0.1441 0.5000  3 P 2.20-2.26
Ni: 0.2934 0.3695 0.5000  4 P 2.31-2.34
Ni: 0.2934 0.9240 0.5000  4 P 2.31-2.34
Ni: 0.3985 0.0281 0.0000  4 P 2.31-2.33
Ni: 0.3985 0.3704 0.0000  4 P 2.31-2.33
Ni: 0.4054 0.5946 0.0000  3 P 2.22-2.25
Ni: 0.4054 0.8109 0.0000  3 P 2.22-2.25
Ni: 0.4972 0.1290 0.5000  3 P 2.21-2.34, 1 Ni 2.43
Ni: 0.4972 0.3682 0.5000  3 P 2.21-2.34, 1 Ni 2.43
Ni: 0.5782 0.2891 0.5000  8 Ni 2.39-2.50
Ni: 0.6149 0.2297 0.0000  1 P 2.16
Ni: 0.6149 0.3851 0.0000  1 P 2.16
Ni: 0.6296 0.0281 0.0000  4 P 2.31-2.33
Ni: 0.6296 0.6015 0.0000  4 P 2.31-2.33
Ni: 0.6305 0.7066 0.5000  4 P 2.31-2.34
Ni: 0.6307 0.8153 0.0000  4 P 2.29-2.31
Ni: 0.6305 0.9240 0.5000  4 P 2.31-2.34
Ni: 0.6318 0.1290 0.5000  3 P 2.21-2.34, 1 Ni 2.43
Ni: 0.6318 0.5028 0.5000  3 P 2.21-2.34, 1 Ni 2.43
Ni: 0.7109 0.2891 0.5000  8 Ni 2.39-2.50
Ni: 0.7109 0.4218 0.5000  8 Ni 2.39-2.50
Ni: 0.7703 0.3851 0.0000  1 P 2.16
Ni: 0.8548 0.9274 0.5000  3 P 2.23-2.25
Ni: 0.8559 0.1441 0.5000  3 P 2.20-2.26
Ni: 0.8559 0.7117 0.5000  3 P 2.20-2.26
Ni: 0.8710 0.3682 0.5000  3 P 2.21-2.34, 1 Ni 2.43
Ni: 0.8710 0.5028 0.5000  3 P 2.21-2.34, 1 Ni 2.43
Ni: 0.9719 0.3704 0.0000  4 P 2.31-2.33
Ni: 0.9719 0.6015 0.0000  4 P 2.31-2.33
P: 0.1199 0.4522 0.0000  5 Ni 2.22-2.32
P: 0.1199 0.6677 0.0000  5 Ni 2.22-2.32
P: 0.1434 0.0717 0.5000  3 Ni 2.25-2.26
P: 0.1440 0.2881 0.5000  5 Ni 2.23-2.34
P: 0.1440 0.8560 0.5000  5 Ni 2.23-2.34
P: 0.3323 0.4522 0.0000  5 Ni 2.22-2.32
P: 0.3323 0.8801 0.0000  5 Ni 2.22-2.32
P: 0.3333 0.6667 0.0000  3 Ni 2.25
P: 0.3565 0.0713 0.5000  5 Ni 2.20-2.33
P: 0.3565 0.2852 0.5000  5 Ni 2.20-2.33
P: 0.5458 0.0915 0.0000  7 Ni 2.16-2.34
P: 0.5458 0.4542 0.0000  7 Ni 2.16-2.34
P: 0.5478 0.6677 0.0000  5 Ni 2.22-2.32
P: 0.5478 0.8801 0.0000  5 Ni 2.22-2.32
P: 0.7119 0.8560 0.5000  5 Ni 2.23-2.34
P: 0.7148 0.0713 0.5000  5 Ni 2.20-2.33
P: 0.7148 0.6435 0.5000  5 Ni 2.20-2.33
P: 0.9085 0.4542 0.0000  7 Ni 2.16-2.34
P: 0.9283 0.0717 0.5000  3 Ni 2.25-2.26
P: 0.9283 0.8566 0.5000  3 Ni 2.25-2.26
P: 0.9287 0.2852 0.5000  5 Ni 2.20-2.33
P: 0.9287 0.6435 0.5000  5 Ni 2.20-2.33